No. 1
Li7Mn4CoO12: optimized geometry, GGA+U.

Summary:
The total magnetization is 0.667 μB per atom.

Cell: 11.0709 11.0709 15.2920 Å, 114.43 114.43 14.89°
Fractional positions:
Li1 0.0487 0.0487 0.2071
Li2 0.1344 0.1344 0.6264
Li3 0.2120 0.2120 0.0487
Li4 0.2499 0.2499 0.2501
Li5 0.2880 0.2880 0.4516
Li6 0.3661 0.3661 0.8735
Li7 0.4513 0.4513 0.2924
Li8 0.5487 0.5487 0.7076
Li9 0.6339 0.6339 0.1265
Li10 0.7120 0.7120 0.5484
Li11 0.7501 0.7501 0.7499
Li12 0.7880 0.7880 0.9513
Li13 0.8656 0.8656 0.3736
Li14 0.9513 0.9513 0.7929
Mn1 0.0855 0.0855 0.4157
Mn2 0.1744 0.1744 0.8317
Mn3 0.3257 0.3257 0.6682
Mn4 0.4141 0.4141 0.0840
Mn5 0.5859 0.5859 0.9160
Mn6 0.6743 0.6743 0.3318
Mn7 0.8256 0.8256 0.1683
Mn8 0.9145 0.9145 0.5843
Co1 0.0000 0.0000 0.0000
Co2 0.5000 0.5000 0.5000
O1 0.0188 0.0188 0.5930
O2 0.0719 0.0719 0.8205
O3 0.1042 0.1042 0.0107
O4 0.1488 0.1488 0.2377
O5 0.1881 0.1881 0.4241
O6 0.2375 0.2375 0.6471
O7 0.2625 0.2625 0.8528
O8 0.3116 0.3116 0.0760
O9 0.3512 0.3512 0.2624
O10 0.3956 0.3956 0.4891
O11 0.4282 0.4282 0.6798
O12 0.4805 0.4805 0.9070
O13 0.5195 0.5195 0.0930
O14 0.5718 0.5718 0.3202
O15 0.6044 0.6044 0.5109
O16 0.6488 0.6488 0.7376
O17 0.6884 0.6884 0.9240
O18 0.7375 0.7375 0.1472
O19 0.7625 0.7625 0.3529
O20 0.8119 0.8119 0.5759
O21 0.8512 0.8512 0.7623
O22 0.8958 0.8958 0.9893
O23 0.9281 0.9281 0.1795
O24 0.9812 0.9812 0.4070


No. 2
Li5MnCo2O8: optimized geometry, GGA+U.

Summary:
The total magnetization is 0.625 μB per atom.

Cell: 4.9714 5.9080 5.0711 Å, 90.00 108.41 90.00°
Fractional positions:
Li1 0.0000 0.0000 0.0000
Li2 0.0000 0.2400 0.5000
Li3 0.0000 0.7600 0.5000
Li4 0.5000 0.0000 0.5000
Li5 0.5000 0.5000 0.5000
Mn1 0.0000 0.5000 0.0000
Co1 0.5000 0.2409 0.0000
Co2 0.5000 0.7591 0.0000
O1 0.2423 0.5000 0.7712
O2 0.2498 0.2685 0.2204
O3 0.2498 0.7315 0.2204
O4 0.2755 0.0000 0.7603
O5 0.7245 0.0000 0.2397
O6 0.7502 0.2685 0.7796
O7 0.7502 0.7315 0.7796
O8 0.7577 0.5000 0.2288


No. 3
Li7Mn2Co3O12: optimized geometry, GGA+U.

Summary:
The total magnetization is 0.667 μB per atom.

Cell: 5.0747 5.9286 7.6520 Å, 101.97 107.50 90.81°
Fractional positions:
Li1 0.0000 0.0000 0.0000
Li2 0.0005 0.1587 0.6679
Li3 0.9996 0.6482 0.6630
Li4 0.0034 0.4738 0.0025
Li5 0.4983 0.2402 0.9990
Li6 0.9833 0.3265 0.3279
Li7 0.9923 0.8194 0.3286
Mn1 0.4923 0.7391 0.9992
Mn2 0.5015 0.9026 0.6680
Co1 0.4916 0.5701 0.3278
Co2 0.4954 0.0774 0.3247
Co3 0.5055 0.3946 0.6680
O1 0.2504 0.7896 0.1477
O2 0.2675 0.2986 0.1893
O3 0.2752 0.0921 0.5096
O4 0.2767 0.4622 0.8312
O5 0.2774 0.9292 0.8314
O6 0.2792 0.6189 0.5036
O7 0.7116 0.5507 0.1611
O8 0.7119 0.8469 0.4905
O9 0.7201 0.0157 0.1655
O10 0.7229 0.7094 0.8298
O11 0.7321 0.1762 0.8161
O12 0.7398 0.3559 0.5081


no.,calculated volume (Å³ per atom),energy above the most stable polymorph in this dataset (meV/atom)
1,9.1,41
2,8.8,38
3,8.9,44